First-principles (meta-GGA r2SCAN) data for a geometry-optimized YbUTe6 structure, as listed in the Materials Project.

```
YbUTe6
1.0
2.178 -12.988 0.000
2.178 12.988 0.000
0.000 0.000 4.357
Te U Yb
6 1 1
Direct
0.705 0.295 0.000
0.576 0.424 0.500
0.925 0.075 0.500
0.425 0.575 0.000
0.076 0.924 0.000
0.292 0.708 0.500
0.831 0.169 0.000
0.170 0.830 0.500
```

Properties
Electronic total energy, hartree per atom: -1.2689
ΔE_f, meV per atom: -906.1
Size of the total moment, μB per cell: 2.653

---

First-principles (meta-GGA r2SCAN) data for a geometry-optimized NaH6CN2ClO2 structure, as listed in the Materials Project.

```
NaH6CN2ClO2
1.0
5.085 0.000 0.000
0.000 6.438 0.000
0.000 0.000 17.347
H C N Cl O Na
24 4 8 4 8 4
Direct
0.832 0.752 0.043
0.370 0.856 0.264
0.738 0.249 0.956
0.370 0.856 0.736
0.238 0.751 0.456
0.798 0.517 0.166
0.298 0.483 0.334
0.298 0.483 0.666
0.703 0.617 0.256
0.759 0.021 0.321
0.203 0.383 0.756
0.738 0.249 0.044
0.703 0.617 0.744
0.870 0.144 0.764
0.238 0.751 0.544
0.332 0.248 0.457
0.870 0.144 0.236
0.759 0.021 0.679
0.832 0.752 0.957
0.259 0.979 0.179
0.332 0.248 0.543
0.259 0.979 0.821
0.203 0.383 0.244
0.798 0.517 0.834
0.519 0.744 0.161
0.019 0.256 0.339
0.519 0.744 0.839
0.019 0.256 0.661
0.179 0.390 0.698
0.179 0.390 0.302
0.864 0.135 0.705
0.679 0.610 0.198
0.364 0.865 0.205
0.864 0.135 0.295
0.679 0.610 0.802
0.364 0.865 0.795
0.582 0.739 0.383
0.582 0.739 0.617
0.082 0.261 0.117
0.082 0.261 0.883
0.618 0.250 0.000
0.511 0.755 0.089
0.457 0.247 0.500
0.118 0.750 0.500
0.511 0.755 0.911
0.011 0.245 0.411
0.011 0.245 0.589
0.957 0.753 0.000
0.305 0.991 0.000
0.809 0.482 0.500
0.805 0.009 0.500
0.309 0.518 0.000
```

Properties
Electronic total energy, hartree per atom: -0.2325
ΔE_f, meV per atom: -895.2
Size of the total moment, μB per cell: 0.000

---

First-principles (meta-GGA r2SCAN) data for a geometry-optimized TbHoCo4 structure, as listed in the Materials Project.

```
TbHoCo4
1.0
-2.838 -3.957 -1.340
-4.161 0.701 -2.774
-0.109 -1.514 -4.817
Co Ho Tb
4 1 1
Direct
0.625 0.625 0.625
0.625 0.625 0.125
0.625 0.125 0.625
0.125 0.625 0.625
0.000 0.000 0.000
0.250 0.250 0.250
```

Properties
Electronic total energy, hartree per atom: -0.7217
ΔE_f, meV per atom: -131.8
Size of the total moment, μB per cell: 4.075

---

First-principles (meta-GGA r2SCAN) data for a geometry-optimized Pu2HgGe structure, as listed in the Materials Project.

```
Pu2HgGe
1.0
0.745 1.272 4.969
-2.327 4.187 1.980
-3.853 -0.552 3.423
Hg Pu Ge
1 2 1
Direct
0.000 0.000 0.000
0.250 0.250 0.250
0.750 0.750 0.750
0.500 0.500 0.500
```

Properties
Electronic total energy, hartree per atom: -2.1850
ΔE_f, meV per atom: -468.0
Size of the total moment, μB per cell: 11.942

---

First-principles (meta-GGA r2SCAN) data for a geometry-optimized LiCr2S4 structure, as listed in the Materials Project.

```
LiCr2S4
1.0
5.889 0.000 0.000
0.000 6.794 0.000
0.000 0.000 12.770
S Li Cr
16 4 8
Direct
0.338 0.500 0.643
0.662 0.000 0.857
0.662 0.000 0.143
0.834 0.749 0.643
0.672 0.500 0.854
0.328 0.000 0.646
0.834 0.251 0.643
0.166 0.249 0.143
0.338 0.500 0.357
0.672 0.500 0.146
0.166 0.751 0.857
0.834 0.251 0.357
0.166 0.751 0.143
0.166 0.249 0.857
0.328 0.000 0.354
0.834 0.749 0.357
0.339 0.000 0.000
0.982 0.500 0.000
0.018 0.000 0.500
0.661 0.500 0.500
0.500 0.750 0.750
0.993 0.000 0.753
0.500 0.750 0.250
0.500 0.250 0.750
0.993 0.000 0.247
0.500 0.250 0.250
0.007 0.500 0.747
0.007 0.500 0.253
```

Properties
Distance to the lowest polymorph of the same formula, meV/atom: 22
Electronic total energy, hartree per atom: -0.3771
ΔE_f, meV per atom: -1022.8
Size of the total moment, μB per cell: 20.148

---

First-principles (meta-GGA r2SCAN) data for a geometry-optimized Er3Ga5 structure, as listed in the Materials Project.

```
Er3Ga5
1.0
0.000 0.000 -6.038
0.000 -9.524 0.000
-11.291 0.000 0.000
Ga Er
20 12
Direct
0.627 0.447 0.410
0.127 0.947 0.090
0.823 0.250 0.252
0.627 0.250 0.005
0.401 0.250 0.302
0.677 0.250 0.752
0.873 0.053 0.910
0.323 0.750 0.248
0.127 0.553 0.090
0.627 0.053 0.410
0.177 0.750 0.748
0.373 0.750 0.995
0.373 0.553 0.590
0.127 0.750 0.495
0.873 0.447 0.910
0.373 0.947 0.590
0.099 0.250 0.801
0.873 0.250 0.505
0.901 0.750 0.199
0.599 0.750 0.698
0.611 0.511 0.148
0.651 0.750 0.423
0.151 0.250 0.077
0.111 0.011 0.352
0.889 0.511 0.648
0.389 0.489 0.852
0.349 0.250 0.577
0.849 0.750 0.923
0.111 0.489 0.352
0.611 0.989 0.148
0.889 0.989 0.648
0.389 0.011 0.852
```

Properties
Electronic total energy, hartree per atom: -0.7568
ΔE_f, meV per atom: -720.1
Size of the total moment, μB per cell: 0.000

---

First-principles (meta-GGA r2SCAN) data for a geometry-optimized Rb2UBr6 structure, as listed in the Materials Project.

```
Rb2UBr6
1.0
3.195 1.588 6.912
-4.477 0.440 6.383
0.395 -5.549 5.433
Br U Rb
6 1 2
Direct
0.748 0.748 0.252
0.252 0.252 0.748
0.749 0.251 0.749
0.251 0.749 0.251
0.251 0.749 0.749
0.749 0.251 0.251
0.000 0.000 0.000
0.750 0.750 0.750
0.250 0.250 0.250
```

Properties
Electronic total energy, hartree per atom: -0.8328
ΔE_f, meV per atom: -1845.0
Size of the total moment, μB per cell: 2.000

---

First-principles (meta-GGA r2SCAN) data for a geometry-optimized PuCdAu2 structure, as listed in the Materials Project.

```
PuCdAu2
1.0
0.000 3.530 3.530
3.530 0.000 3.530
3.530 3.530 0.000
Pu Cd Au
1 1 2
Direct
0.000 0.000 0.000
0.500 0.500 0.500
0.750 0.750 0.750
0.250 0.250 0.250
```

Properties
Electronic total energy, hartree per atom: -1.9266
ΔE_f, meV per atom: -518.8
Size of the total moment, μB per cell: 5.622